Entry 1:
Material: TbPmRh2
Method: DFT, r2SCAN
State: relaxed

CIF file:
```
data_TbPmRh2
_chemical_formula_sum 'Tb1 Pm1 Rh2'
_space_group_name_H-M_alt 'P 1'
_space_group_IT_number 1
_space_group_name_Hall 'P 1'
_cell_length_a 4.896
_cell_length_b 4.896
_cell_length_c 4.896
_cell_angle_alpha 60.00
_cell_angle_beta 60.00
_cell_angle_gamma 60.00
loop_
_atom_site_label
_atom_site_fract_x
_atom_site_fract_y
_atom_site_fract_z
Tb1 0.000 0.000 0.000
Pm1 0.500 0.500 0.500
Rh1 0.250 0.250 0.250
Rh2 0.750 0.750 0.750
```

Results
Energy of formation   -3.253 eV/f.u.
Space-group type   Fm-3m (225)
Crystal system   cubic
Magnetization   0.000 μB per formula unit

***

Entry 2:
Material: YbPmRh2
Method: DFT, r2SCAN
State: relaxed

CIF file:
```
data_YbPmRh2
_chemical_formula_sum 'Yb1 Pm1 Rh2'
_space_group_name_H-M_alt 'P 1'
_space_group_IT_number 1
_space_group_name_Hall 'P 1'
_cell_length_a 4.842
_cell_length_b 4.842
_cell_length_c 4.842
_cell_angle_alpha 60.00
_cell_angle_beta 60.00
_cell_angle_gamma 60.00
loop_
_atom_site_label
_atom_site_fract_x
_atom_site_fract_y
_atom_site_fract_z
Yb1 0.000 0.000 0.000
Pm1 0.500 0.500 0.500
Rh1 0.250 0.250 0.250
Rh2 0.750 0.750 0.750
```

Results
Energy of formation   -3.506 eV/f.u.
Space-group type   Fm-3m (225)
Crystal system   cubic
Magnetization   0.000 μB per formula unit

***

Entry 3:
Material: Pm2ZnRh
Method: DFT, r2SCAN
State: relaxed

CIF file:
```
data_Pm2ZnRh
_chemical_formula_sum 'Pm2 Zn1 Rh1'
_space_group_name_H-M_alt 'P 1'
_space_group_IT_number 1
_space_group_name_Hall 'P 1'
_cell_length_a 5.045
_cell_length_b 5.045
_cell_length_c 5.045
_cell_angle_alpha 60.00
_cell_angle_beta 60.00
_cell_angle_gamma 60.00
loop_
_atom_site_label
_atom_site_fract_x
_atom_site_fract_y
_atom_site_fract_z
Pm1 0.250 0.250 0.250
Pm2 0.750 0.750 0.750
Zn1 0.000 0.000 0.000
Rh1 0.500 0.500 0.500
```

Results
Energy of formation   -2.155 eV/f.u.
Space-group type   Fm-3m (225)
Crystal system   cubic
Magnetization   0.000 μB per formula unit

***

Entry 4:
Material: PmS2
Method: DFT, r2SCAN
State: relaxed

CIF file:
```
data_PmS2
_chemical_formula_sum 'Pm4 S8'
_space_group_name_H-M_alt 'P 1'
_space_group_IT_number 1
_space_group_name_Hall 'P 1'
_cell_length_a 8.069
_cell_length_b 4.017
_cell_length_c 8.015
_cell_angle_alpha 90.00
_cell_angle_beta 90.11
_cell_angle_gamma 90.00
loop_
_atom_site_label
_atom_site_fract_x
_atom_site_fract_y
_atom_site_fract_z
Pm1 0.224 0.211 0.371
Pm2 0.224 0.289 0.871
Pm3 0.776 0.711 0.129
Pm4 0.776 0.789 0.629
S1 0.133 0.739 0.126
S2 0.133 0.761 0.626
S3 0.497 0.655 0.392
S4 0.497 0.845 0.892
S5 0.503 0.155 0.108
S6 0.503 0.345 0.608
S7 0.867 0.239 0.374
S8 0.867 0.261 0.874
```

Results
Energy of formation   -6.064 eV/f.u.
Space-group type   P2_1/c (14)
Crystal system   monoclinic
Magnetization   0.000 μB per formula unit

***

Entry 5:
Material: PmS
Method: DFT, r2SCAN
State: relaxed

CIF file:
```
data_PmS
_chemical_formula_sum 'Pm1 S1'
_space_group_name_H-M_alt 'P 1'
_space_group_IT_number 1
_space_group_name_Hall 'P 1'
_cell_length_a 4.028
_cell_length_b 4.028
_cell_length_c 4.028
_cell_angle_alpha 60.00
_cell_angle_beta 60.00
_cell_angle_gamma 60.00
loop_
_atom_site_label
_atom_site_fract_x
_atom_site_fract_y
_atom_site_fract_z
Pm1 0.000 0.000 0.000
S1 0.500 0.500 0.500
```

Results
Energy of formation   -4.616 eV/f.u.
Space-group type   Fm-3m (225)
Crystal system   cubic
Magnetization   0.000 μB per formula unit

***

Entry 6:
Material: PmSc3
Method: DFT, r2SCAN
State: relaxed

CIF file:
```
data_PmSc3
_chemical_formula_sum 'Pm1 Sc3'
_space_group_name_H-M_alt 'P 1'
_space_group_IT_number 1
_space_group_name_Hall 'P 1'
_cell_length_a 5.704
_cell_length_b 5.704
_cell_length_c 5.704
_cell_angle_alpha 129.20
_cell_angle_beta 129.20
_cell_angle_gamma 74.68
loop_
_atom_site_label
_atom_site_fract_x
_atom_site_fract_y
_atom_site_fract_z
Pm1 0.000 0.000 0.000
Sc1 0.250 0.750 0.500
Sc2 0.500 0.500 0.000
Sc3 0.750 0.250 0.500
```

Results
Energy of formation   0.409 eV/f.u.
Space-group type   I4/mmm (139)
Crystal system   tetragonal
Magnetization   0.041 μB per formula unit

***

Entry 7:
Material: Pm2Se3
Method: DFT, r2SCAN
State: relaxed

CIF file:
```
data_Pm2Se3
_chemical_formula_sum 'Pm8 Se12'
_space_group_name_H-M_alt 'P 1'
_space_group_IT_number 1
_space_group_name_Hall 'P 1'
_cell_length_a 11.413
_cell_length_b 4.142
_cell_length_c 11.156
_cell_angle_alpha 90.00
_cell_angle_beta 90.00
_cell_angle_gamma 90.00
loop_
_atom_site_label
_atom_site_fract_x
_atom_site_fract_y
_atom_site_fract_z
Pm1 0.011 0.250 0.187
Pm2 0.193 0.250 0.503
Pm3 0.307 0.750 0.003
Pm4 0.489 0.750 0.687
Pm5 0.511 0.250 0.313
Pm6 0.693 0.250 0.997
Pm7 0.807 0.750 0.497
Pm8 0.989 0.750 0.813
Se1 0.045 0.750 0.374
Se2 0.120 0.250 0.944
Se3 0.228 0.750 0.698
Se4 0.272 0.250 0.198
Se5 0.380 0.750 0.444
Se6 0.455 0.250 0.874
Se7 0.545 0.750 0.126
Se8 0.620 0.250 0.556
Se9 0.728 0.750 0.802
Se10 0.772 0.250 0.302
Se11 0.880 0.750 0.056
Se12 0.955 0.250 0.626
```

Results
Energy of formation   -11.065 eV/f.u.
Space-group type   Pnma (62)
Crystal system   orthorhombic
Magnetization   0.000 μB per formula unit

***

Entry 8:
Material: PmSe
Method: DFT, r2SCAN
State: relaxed

CIF file:
```
data_PmSe
_chemical_formula_sum 'Pm1 Se1'
_space_group_name_H-M_alt 'P 1'
_space_group_IT_number 1
_space_group_name_Hall 'P 1'
_cell_length_a 4.187
_cell_length_b 4.187
_cell_length_c 4.187
_cell_angle_alpha 60.00
_cell_angle_beta 60.00
_cell_angle_gamma 60.00
loop_
_atom_site_label
_atom_site_fract_x
_atom_site_fract_y
_atom_site_fract_z
Pm1 0.000 0.000 0.000
Se1 0.500 0.500 0.500
```

Results
Energy of formation   -4.210 eV/f.u.
Space-group type   Fm-3m (225)
Crystal system   cubic
Magnetization   0.000 μB per formula unit

***

> energy of formation of number 4 (PmS2)?

-6.064 eV/f.u.